Entry 1:
# Rb2TiSi6O15

Rb2TiSi6O15 after structural relaxation (PBE, the Materials Project).

Values from the calculation:
As for the symmetry: Cc, No. 9. The formation energy comes out at -3194 meV/atom.

Cell and atoms, written as POSCAR:
```
Rb2TiSi6O15
1.0
6.473 -3.746 0.000
6.473 3.746 0.000
-4.056 0.000 14.835
Rb Ti Si O
4 2 12 30
direct
0.124 0.876 0.500
0.384 0.655 0.832
0.655 0.384 0.332
0.876 0.124 0.000
0.024 0.544 0.925
0.544 0.024 0.425
0.168 0.308 0.274
0.238 0.882 0.265
0.258 0.319 0.586
0.308 0.168 0.774
0.319 0.258 0.086
0.392 0.602 0.076
0.602 0.392 0.576
0.659 0.789 0.063
0.771 0.883 0.767
0.789 0.659 0.563
0.882 0.238 0.765
0.883 0.771 0.267
0.007 0.439 0.555
0.087 0.129 0.248
0.099 0.790 0.288
0.108 0.366 0.019
0.129 0.087 0.748
0.199 0.676 0.997
0.273 0.332 0.865
0.277 0.298 0.191
0.298 0.277 0.691
0.332 0.273 0.365
0.339 0.749 0.173
0.358 0.477 0.590
0.366 0.108 0.519
0.415 0.858 0.350
0.439 0.007 0.055
0.477 0.358 0.090
0.531 0.951 0.781
0.594 0.602 0.050
0.602 0.594 0.550
0.676 0.199 0.497
0.730 0.946 0.336
0.749 0.339 0.673
0.754 0.786 0.484
0.786 0.754 0.984
0.788 0.805 0.162
0.790 0.099 0.788
0.805 0.788 0.662
0.858 0.415 0.850
0.946 0.730 0.836
0.951 0.531 0.281
```

---

Entry 2:
# Ce5NiPb3

Ce5NiPb3 after structural relaxation (PBE, the Materials Project).

Values from the calculation:
As for the symmetry: P6_3/mcm, No. 193. The formation energy comes out at -381 meV/atom.

Cell and atoms, written as POSCAR:
```
Ce5NiPb3
1.0
9.606 0.000 0.000
-4.803 8.319 0.000
0.000 0.000 6.420
Ce Ni Pb
10 2 6
direct
0.000 0.239 0.250
0.000 0.761 0.750
0.239 0.000 0.250
0.239 0.239 0.750
0.333 0.667 0.000
0.333 0.667 0.500
0.667 0.333 0.000
0.667 0.333 0.500
0.761 0.000 0.750
0.761 0.761 0.250
0.000 0.000 0.000
0.000 0.000 0.500
0.000 0.395 0.750
0.000 0.605 0.250
0.395 0.000 0.750
0.395 0.395 0.250
0.605 0.000 0.250
0.605 0.605 0.750
```

---

Entry 3:
# Ga3Pb

Ga3Pb after structural relaxation (PBE, the Materials Project).

Values from the calculation:
As for the symmetry: I4/mmm, No. 139. The formation energy comes out at 91 meV/atom.

Cell and atoms, written as POSCAR:
```
Ga3Pb
1.0
-2.591 2.591 3.401
2.591 -2.591 3.401
2.591 2.591 -3.401
Ga Pb
3 1
direct
0.000 0.000 0.000
0.250 0.750 0.500
0.750 0.250 0.500
0.500 0.500 0.000
```

---

Entry 4:
# HoRh2

HoRh2 after structural relaxation (PBE, the Materials Project).

Values from the calculation:
As for the symmetry: Fd-3m, No. 227. The formation energy comes out at -752 meV/atom.

Cell and atoms, written as POSCAR:
```
HoRh2
1.0
0.000 3.772 3.772
3.772 0.000 3.772
3.772 3.772 0.000
Ho Rh
2 4
direct
0.125 0.125 0.125
0.875 0.875 0.875
0.000 0.500 0.500
0.500 0.000 0.500
0.500 0.500 0.000
0.500 0.500 0.500
```

---

Entry 5:
# SrMg6NbO8

SrMg6NbO8 after structural relaxation (PBE, the Materials Project).

Values from the calculation:
The polymorph energy (0 for the lowest one) comes out at 54 meV per atom. As for the symmetry: P4/mmm, No. 123. The formation energy comes out at -2587 meV/atom.

Cell and atoms, written as POSCAR:
```
SrMg6NbO8
1.0
4.531 0.000 0.000
0.000 4.531 0.000
0.000 0.000 9.016
Sr Mg Nb O
1 6 1 8
direct
0.000 0.000 0.000
0.000 0.500 0.254
0.000 0.500 0.746
0.500 0.000 0.254
0.500 0.000 0.746
0.500 0.500 0.000
0.500 0.500 0.500
0.000 0.000 0.500
0.000 0.000 0.261
0.000 0.000 0.739
0.000 0.500 0.000
0.000 0.500 0.500
0.500 0.000 0.000
0.500 0.000 0.500
0.500 0.500 0.251
0.500 0.500 0.749
```

---

Entry 6:
# CdP14Pb

CdP14Pb after structural relaxation (PBE, the Materials Project).

Values from the calculation:
The polymorph energy (0 for the lowest one) comes out at 233 meV per atom. As for the symmetry: Pnma, No. 62. The formation energy comes out at 189 meV/atom.

Cell and atoms, written as POSCAR:
```
CdP14Pb
1.0
13.182 0.000 0.000
0.000 9.856 0.000
0.000 0.000 11.683
Cd P Pb
4 56 4
direct
0.215 0.250 0.093
0.285 0.750 0.593
0.715 0.250 0.407
0.785 0.750 0.907
0.007 0.750 0.326
0.017 0.595 0.619
0.017 0.905 0.619
0.043 0.250 0.221
0.074 0.588 0.429
0.074 0.912 0.429
0.079 0.750 0.905
0.088 0.086 0.934
0.088 0.414 0.934
0.174 0.546 0.674
0.174 0.954 0.674
0.176 0.250 0.862
0.182 0.578 0.860
0.182 0.922 0.860
0.318 0.078 0.360
0.318 0.422 0.360
0.324 0.750 0.362
0.326 0.046 0.174
0.326 0.454 0.174
0.412 0.586 0.434
0.412 0.914 0.434
0.421 0.250 0.405
0.426 0.088 0.929
0.426 0.412 0.929
0.457 0.750 0.721
0.483 0.095 0.119
0.483 0.405 0.119
0.493 0.250 0.826
0.507 0.750 0.174
0.517 0.595 0.881
0.517 0.905 0.881
0.543 0.250 0.279
0.574 0.588 0.071
0.574 0.912 0.071
0.579 0.750 0.595
0.588 0.086 0.566
0.588 0.414 0.566
0.674 0.546 0.826
0.674 0.954 0.826
0.676 0.250 0.638
0.682 0.578 0.640
0.682 0.922 0.640
0.818 0.078 0.140
0.818 0.422 0.140
0.824 0.750 0.138
0.826 0.046 0.326
0.826 0.454 0.326
0.912 0.586 0.066
0.912 0.914 0.066
0.921 0.250 0.095
0.926 0.088 0.571
0.926 0.412 0.571
0.957 0.750 0.779
0.983 0.095 0.381
0.983 0.405 0.381
0.993 0.250 0.674
0.200 0.250 0.615
0.300 0.750 0.115
0.700 0.250 0.885
0.800 0.750 0.385
```

---

Entry 7:
# TaBi3O7

TaBi3O7 after structural relaxation (PBE, the Materials Project).

Values from the calculation:
As for the symmetry: Cm, No. 8. The formation energy comes out at -2073 meV/atom.

Cell and atoms, written as POSCAR:
```
TaBi3O7
1.0
3.454 -1.885 0.000
3.454 1.885 0.000
-2.322 0.000 12.693
Ta Bi O
1 3 7
direct
0.000 0.000 0.000
0.207 0.207 0.769
0.457 0.457 0.509
0.702 0.702 0.232
0.136 0.136 0.524
0.268 0.268 0.964
0.376 0.376 0.319
0.513 0.513 0.692
0.615 0.615 0.040
0.906 0.906 0.847
0.986 0.986 0.154
```

---

Entry 8:
# LaWN3

LaWN3 after structural relaxation (PBE, the Materials Project).

Values from the calculation:
As for the symmetry: P2_1/m, No. 11. The formation energy comes out at -1206 meV/atom.

Cell and atoms, written as POSCAR:
```
LaWN3
1.0
5.868 0.000 0.000
0.000 3.888 0.000
-2.657 0.000 7.585
La W N
2 2 6
direct
0.244 0.250 0.186
0.756 0.750 0.814
0.143 0.250 0.669
0.857 0.750 0.331
0.025 0.750 0.609
0.041 0.250 0.866
0.469 0.250 0.739
0.531 0.750 0.261
0.959 0.750 0.134
0.975 0.250 0.391
```

---

Entry 9:
# Ba3Cr3N5

Ba3Cr3N5 after structural relaxation (PBE, the Materials Project).

Values from the calculation:
As for the symmetry: P-1, No. 2. The formation energy comes out at -736 meV/atom.

Cell and atoms, written as POSCAR:
```
Ba3Cr3N5
1.0
5.861 0.000 0.000
-0.718 7.412 0.000
-1.824 -2.716 8.216
Ba Cr N
6 6 10
direct
0.147 0.178 0.216
0.151 0.365 0.884
0.314 0.920 0.610
0.686 0.080 0.390
0.849 0.635 0.116
0.853 0.822 0.784
0.187 0.471 0.579
0.413 0.602 0.297
0.421 0.823 0.975
0.579 0.177 0.025
0.587 0.398 0.703
0.813 0.529 0.421
0.136 0.557 0.388
0.284 0.028 0.935
0.326 0.256 0.538
0.360 0.711 0.134
0.412 0.620 0.780
0.588 0.380 0.220
0.640 0.289 0.866
0.674 0.744 0.462
0.716 0.972 0.065
0.864 0.443 0.612
```

---

Entry 10:
# Nd2Ti3Cl2O8

Nd2Ti3Cl2O8 after structural relaxation (PBE, the Materials Project).

Values from the calculation:
As for the symmetry: Pbcn, No. 60. The formation energy comes out at -3417 meV/atom.

Cell and atoms, written as POSCAR:
```
Nd2Ti3Cl2O8
1.0
14.984 0.000 0.000
0.000 11.670 0.000
0.000 0.000 5.056
Nd Ti Cl O
8 12 8 32
direct
0.163 0.137 0.022
0.163 0.863 0.522
0.337 0.363 0.522
0.337 0.637 0.022
0.663 0.363 0.978
0.663 0.637 0.478
0.837 0.137 0.478
0.837 0.863 0.978
0.000 0.408 0.750
0.000 0.592 0.250
0.162 0.423 0.128
0.162 0.577 0.628
0.338 0.077 0.628
0.338 0.923 0.128
0.500 0.092 0.250
0.500 0.908 0.750
0.662 0.077 0.872
0.662 0.923 0.372
0.838 0.423 0.372
0.838 0.577 0.872
0.078 0.101 0.518
0.078 0.899 0.018
0.422 0.399 0.018
0.422 0.601 0.518
0.578 0.399 0.482
0.578 0.601 0.982
0.922 0.101 0.982
0.922 0.899 0.482
0.077 0.455 0.438
0.077 0.545 0.938
0.081 0.317 0.926
0.081 0.683 0.426
0.221 0.298 0.249
0.221 0.702 0.749
0.237 0.469 0.827
0.237 0.531 0.327
0.263 0.031 0.327
0.263 0.969 0.827
0.279 0.202 0.749
0.279 0.798 0.249
0.419 0.183 0.426
0.419 0.817 0.926
0.423 0.045 0.938
0.423 0.955 0.438
0.577 0.045 0.562
0.577 0.955 0.062
0.581 0.183 0.074
0.581 0.817 0.574
0.721 0.202 0.751
0.721 0.798 0.251
0.737 0.031 0.173
0.737 0.969 0.673
0.763 0.469 0.673
0.763 0.531 0.173
0.779 0.298 0.251
0.779 0.702 0.751
0.919 0.317 0.574
0.919 0.683 0.074
0.923 0.455 0.062
0.923 0.545 0.562
```

---

Entry 11:
# Mg6CoMo

Mg6CoMo after structural relaxation (PBE, the Materials Project).

Values from the calculation:
The polymorph energy (0 for the lowest one) comes out at 46 meV per atom. The formation energy comes out at 294 meV/atom.

Cell and atoms, written as POSCAR:
```
Mg6CoMo
1.0
-3.097 -1.524 3.290
2.766 -5.141 0.223
6.365 3.760 7.734
Mg Co Mo
12 2 2
direct
0.500 0.249 0.924
0.000 0.253 0.087
0.000 0.500 0.813
0.000 0.747 0.087
0.000 0.753 0.587
0.500 0.251 0.424
0.000 0.000 0.822
0.000 0.247 0.587
0.000 0.500 0.322
0.500 0.751 0.924
0.000 0.000 0.313
0.500 0.749 0.424
0.500 0.000 0.169
0.500 0.500 0.669
0.500 0.000 0.676
0.500 0.500 0.176
```

---

Entry 12:
# P2O3

P2O3 after structural relaxation (PBE, the Materials Project).

Values from the calculation:
As for the symmetry: P2_1/m, No. 11. The formation energy comes out at -1961 meV/atom.

Cell and atoms, written as POSCAR:
```
P2O3
1.0
6.661 0.000 0.000
0.000 8.487 0.000
-2.262 0.000 6.819
P O
8 12
direct
0.139 0.250 0.359
0.240 0.750 0.504
0.249 0.575 0.865
0.249 0.925 0.865
0.751 0.075 0.135
0.751 0.425 0.135
0.760 0.250 0.496
0.861 0.750 0.641
0.013 0.099 0.222
0.013 0.401 0.222
0.021 0.250 0.533
0.311 0.599 0.660
0.311 0.901 0.660
0.319 0.750 0.970
0.681 0.250 0.030
0.689 0.099 0.340
0.689 0.401 0.340
0.979 0.750 0.467
0.987 0.599 0.778
0.987 0.901 0.778
```

---

Which formula does entry 1 have?
Rb2TiSi6O15